Material: Zn2AgP3O19
Method: DFT, PBE
State: relaxed

a = 8.3092 Å, b = 10.6166 Å, c = 11.0324 Å
α = 98.68°, β = 105.70°, γ = 109.03°
Last column: nearest neighbours and their distance in Å.
Space group P-1 (No. 2)
One atom of each set of equivalent atoms:
Zn 0.0000 0.0000 0.0000  4 O 1.97-2.06
Zn 0.2325 0.5037 0.9524  4 O 1.94-1.97
Zn 0.5000 0.5000 0.5000  4 O 1.98-2.08
Ag 0.4175 0.0001 0.1450  4 O 2.28-2.32
P 0.0427 0.7155 0.9432  4 O 1.51-1.64
P 0.2943 0.2768 0.2267  4 O 1.50-1.60
P 0.4735 0.4555 0.7830  4 O 1.52-1.69
O 0.0046 0.6399 0.4247  1 O 1.28
O 0.0389 0.3407 0.9599  1 P 1.51
O 0.1180 0.3138 0.1949  2 P 1.60-1.64
O 0.1336 0.8778 0.9899  1 P 1.57
O 0.1603 0.6328 0.4473  2 O 1.28-1.30
O 0.1670 0.5111 0.4415  1 O 1.30
O 0.1701 0.6578 0.9040  1 P 1.51
O 0.1710 0.8865 0.6924  1 O 1.24
O 0.2374 0.1271 0.1474  1 P 1.54
O 0.2661 0.0977 0.8375  1 O 1.25
O 0.2977 0.4258 0.8115  1 P 1.52
O 0.2985 0.8467 0.7159  1 O 1.24
O 0.3750 0.3039 0.3714  1 P 1.50
O 0.3954 0.5955 0.1327  1 P 1.53
O 0.4227 0.1237 0.9112  1 O 1.25
O 0.4231 0.8942 0.3463  1 O 1.24
O 0.4250 0.3707 0.1657  2 P 1.59-1.69
O 0.4305 0.1088 0.5916  1 O 1.24
O 0.4481 0.4140 0.6393  1 P 1.52

Calculated values
- Total DFT energy (no corrections): -5.721 eV per atom
- Volume: 854.6 Å³ per cell
- Formation energy: -1097 meV/atom